Here is crystalline NdEu2TaO6 at its relaxed geometry from Materials Project. Energies are from GGA-PBE.

Summary:
* total energy: -9.620 eV per atom
* total moment: 14.04 μB per cell
* E (MP2020): -0.7374 Ry/atom
* formation enthalpy at 0 K: -3349.9 meV/atom

Unit cell a=6.070 b=6.070 c=6.070 alpha=60.00 beta=60.00 gamma=60.00
Sites, in units of the cell vectors:
Nd  0.500  0.500  0.500
O  0.232  0.232  0.768
Ta  0.000  0.000  0.000
O  0.768  0.768  0.232
Eu  0.250  0.250  0.250
O  0.768  0.232  0.768
O  0.232  0.768  0.232
O  0.232  0.768  0.768
O  0.768  0.232  0.232
Eu  0.750  0.750  0.750

Here is crystalline NdEuTi4O12 at its relaxed geometry from Materials Project. Energies are from GGA-PBE.

Summary:
* total energy: -7.979 eV per atom
* total moment: 0.03 μB per cell
* E (MP2020): -0.6201 Ry/atom
* formation enthalpy at 0 K: -2548.9 meV/atom

Unit cell a=5.895 b=5.895 c=8.416 alpha=90.00 beta=90.00 gamma=89.43
Sites, in units of the cell vectors:
O  0.722  0.278  0.749
O  0.529  0.970  0.500
O  0.780  0.780  0.780
O  0.224  0.224  0.278
O  0.780  0.780  0.220
O  0.278  0.722  0.251
Ti  0.997  0.503  0.749
O  0.224  0.224  0.722
Eu  0.494  0.494  0.500
O  0.722  0.278  0.251
Ti  0.997  0.503  0.251
O  0.025  0.466  0.000
O  0.278  0.722  0.749
Nd  0.008  0.008  0.000
Ti  0.503  0.997  0.251
O  0.970  0.529  0.500
Ti  0.503  0.997  0.749
O  0.466  0.025  0.000

Here is crystalline NdEuZrTiO6 at its relaxed geometry from Materials Project. Energies are from GGA-PBE.

Summary:
* total energy: -9.169 eV per atom
* total moment: 6.84 μB per cell
* E (MP2020): -0.7042 Ry/atom
* formation enthalpy at 0 K: -3465.9 meV/atom

Unit cell a=5.735 b=5.735 c=5.735 alpha=60.00 beta=60.00 gamma=60.00
Sites, in units of the cell vectors:
O  0.757  0.243  0.243
O  0.243  0.757  0.757
O  0.757  0.243  0.757
O  0.243  0.243  0.757
Ti  0.000  0.000  0.000
O  0.757  0.757  0.243
O  0.243  0.757  0.243
Eu  0.750  0.750  0.750
Nd  0.250  0.250  0.250
Zr  0.500  0.500  0.500

Here is crystalline EuNi3 at its relaxed geometry from Materials Project. Energies are from GGA-PBE.

Summary:
* total energy: -6.730 eV per atom
* total moment: 5.99 μB per cell
* formation enthalpy at 0 K: 168.9 meV/atom

Unit cell a=3.888 b=3.888 c=3.888 alpha=90.00 beta=90.00 gamma=90.00
Sites, in units of the cell vectors:
Eu  0.000  0.000  0.000
Ni  0.500  0.000  0.500
Ni  0.500  0.500  0.000
Ni  0.000  0.500  0.500

Here is crystalline Eu2Ni17 at its relaxed geometry from Materials Project. Energies are from GGA-PBE.

Summary:
* total energy: -6.318 eV per atom
* total moment: 42.60 μB per cell
* formation enthalpy at 0 K: -66.4 meV/atom

Unit cell a=8.154 b=8.363 c=8.363 alpha=120.20 beta=90.00 gamma=90.00
Sites, in units of the cell vectors:
Ni  0.500  0.500  0.000
Ni  0.750  0.373  0.042
Ni  0.750  0.957  0.331
Ni  0.988  0.167  0.833
Ni  0.106  0.334  0.666
Eu  0.750  0.001  0.999
Ni  0.512  0.167  0.833
Ni  0.000  0.500  0.500
Ni  0.987  0.168  0.335
Ni  0.013  0.335  0.168
Ni  0.000  0.000  0.500
Ni  0.013  0.832  0.665
Ni  0.487  0.335  0.168
Ni  0.250  0.331  0.374
Ni  0.500  0.500  0.500
Ni  0.488  0.833  0.167
Ni  0.750  0.669  0.043
Ni  0.000  0.500  0.000
Ni  0.987  0.665  0.832
Eu  0.250  0.667  0.333
Ni  0.250  0.627  0.958
Eu  0.250  0.999  0.001
Ni  0.513  0.168  0.335
Ni  0.606  0.666  0.334
Ni  0.394  0.334  0.666
Ni  0.487  0.832  0.665
Ni  0.012  0.833  0.167
Eu  0.750  0.333  0.667
Ni  0.894  0.666  0.334
Ni  0.500  0.000  0.500
Ni  0.250  0.331  0.957
Ni  0.250  0.043  0.669
Ni  0.750  0.669  0.626
Ni  0.250  0.626  0.669
Ni  0.513  0.665  0.832
Ni  0.750  0.374  0.331
Ni  0.750  0.958  0.627
Ni  0.250  0.042  0.373

Here is crystalline EuNiP at its relaxed geometry from Materials Project. Energies are from GGA-PBE.

Summary:
* total energy: -8.130 eV per atom
* formation enthalpy at 0 K: -980.3 meV/atom

Unit cell a=3.915 b=3.915 c=4.218 alpha=90.00 beta=90.00 gamma=120.00
Sites, in units of the cell vectors:
Ni  0.333  0.667  0.000
Eu  0.667  0.333  0.500
P  0.000  0.000  0.000

Here is crystalline Eu6Ni20P13 at its relaxed geometry from Materials Project. Energies are from GGA-PBE.

Summary:
* total energy: -7.125 eV per atom
* total moment: 40.82 μB per cell
* formation enthalpy at 0 K: -778.1 meV/atom

Unit cell a=12.792 b=12.792 c=3.795 alpha=90.00 beta=90.00 gamma=120.00
Sites, in units of the cell vectors:
Ni  0.927  0.844  0.500
Eu  0.719  0.188  0.500
Eu  0.531  0.719  0.000
Ni  0.333  0.667  0.500
P  0.867  0.385  0.000
Eu  0.468  0.281  0.500
Ni  0.067  0.754  0.500
Ni  0.808  0.897  0.000
Ni  0.023  0.584  0.000
Ni  0.103  0.911  0.000
Ni  0.416  0.439  0.000
Ni  0.759  0.685  0.000
P  0.955  0.721  0.000
Ni  0.667  0.333  0.000
P  0.000  0.000  0.000
P  0.387  0.519  0.500
Ni  0.435  0.023  0.500
Ni  0.917  0.073  0.500
P  0.044  0.274  0.500
Ni  0.561  0.977  0.000
P  0.726  0.769  0.500
P  0.615  0.483  0.000
Eu  0.812  0.532  0.500
Ni  0.246  0.314  0.500
Ni  0.315  0.074  0.000
P  0.279  0.233  0.000
Ni  0.089  0.192  0.000
P  0.767  0.045  0.000
P  0.131  0.613  0.500
Ni  0.588  0.565  0.500
Ni  0.156  0.083  0.500
Ni  0.926  0.241  0.000
Eu  0.188  0.469  0.000
P  0.517  0.133  0.000
Ni  0.686  0.933  0.500
P  0.231  0.956  0.500
Ni  0.977  0.412  0.500
P  0.481  0.869  0.500
Eu  0.281  0.812  0.000

Here is crystalline EuNi5P3 at its relaxed geometry from Materials Project. Energies are from GGA-PBE.

Summary:
* total energy: -6.908 eV per atom
* formation enthalpy at 0 K: -752.5 meV/atom

Unit cell a=6.119 b=6.119 c=11.499 alpha=90.00 beta=90.00 gamma=145.81
Sites, in units of the cell vectors:
Ni  0.802  0.198  0.068
Ni  0.551  0.449  0.645
Eu  0.838  0.162  0.750
Ni  0.198  0.802  0.932
Ni  0.198  0.802  0.568
Ni  0.802  0.198  0.432
P  0.618  0.382  0.041
P  0.382  0.618  0.541
P  0.618  0.382  0.459
Ni  0.000  0.000  0.000
Ni  0.449  0.551  0.355
P  0.883  0.117  0.250
P  0.117  0.883  0.750
Ni  0.449  0.551  0.145
Ni  0.551  0.449  0.855
P  0.382  0.618  0.959
Eu  0.162  0.838  0.250
Ni  0.000  0.000  0.500